Entry 1:
First-principles (PBE+U) data for a relaxed structure of NiSeO3, as listed in the Materials Project database.

Unit cell a=15.734 b=9.946 c=14.928 alpha=90.00 beta=110.63 gamma=90.00
Space group C2/c (No. 15)
One atom of each set of equivalent atoms:
Ni1 0.069 0.116 0.034 (multiplicity 8)
Ni2 0.224 0.093 0.242 (multiplicity 8)
Ni3 0.234 0.356 0.417 (multiplicity 8)
Ni4 0.240 0.136 0.910 (multiplicity 8)
Se1 0.085 0.116 0.364 (multiplicity 8)
Se2 0.095 0.383 0.181 (multiplicity 8)
Se3 0.114 0.181 0.649 (multiplicity 8)
Se4 0.123 0.368 0.897 (multiplicity 8)
O1 0.030 0.014 0.421 (multiplicity 8)
O2 0.034 0.240 0.547 (multiplicity 8)
O3 0.112 0.212 0.166 (multiplicity 8)
O4 0.114 0.399 0.301 (multiplicity 8)
O5 0.147 0.001 0.825 (multiplicity 8)
O6 0.157 0.234 0.982 (multiplicity 8)
O7 0.164 0.028 0.619 (multiplicity 8)
O8 0.168 0.197 0.455 (multiplicity 8)
O9 0.190 0.312 0.832 (multiplicity 8)
O10 0.190 0.485 0.976 (multiplicity 8)
O11 0.196 0.442 0.176 (multiplicity 8)
O12 0.210 0.273 0.654 (multiplicity 8)

- Energy relative to the elements: -1189 meV/atom
- Theoretical density: 4.51 g cm⁻³

Entry 2:
First-principles (PBE+U) data for a relaxed structure of Zn2IrWO6, as listed in the Materials Project database.

Unit cell a=5.316 b=5.306 c=9.313 alpha=90.00 beta=123.67 gamma=90.00
Space group P2_1/c (No. 14)
One atom of each set of equivalent atoms:
Zn1 0.232 0.021 0.248 (multiplicity 4)
Ir1 0.000 0.000 0.500 (multiplicity 2)
W1 0.500 0.000 0.000 (multiplicity 2)
O1 0.138 0.101 0.753 (multiplicity 4)
O2 0.235 0.668 0.557 (multiplicity 4)
O3 0.405 0.177 0.574 (multiplicity 4)

- Energy relative to the elements: -1603 meV/atom
- Theoretical density: 9.16 g cm⁻³

Entry 3:
First-principles (PBE+U) data for a relaxed structure of GdSbMo2O9, as listed in the Materials Project database.

Unit cell a=13.159 b=14.456 c=10.926 alpha=90.00 beta=123.61 gamma=90.00
Space group C2/c (No. 15)
One atom of each set of equivalent atoms:
Gd1 0.000 0.125 0.250 (multiplicity 4)
Gd2 0.000 0.327 0.750 (multiplicity 4)
Sb1 0.134 0.484 0.536 (multiplicity 8)
Mo1 0.153 0.106 0.027 (multiplicity 8)
Mo2 0.247 0.187 0.695 (multiplicity 8)
O1 0.018 0.442 0.601 (multiplicity 8)
O2 0.080 0.015 0.899 (multiplicity 8)
O3 0.084 0.213 0.936 (multiplicity 8)
O4 0.118 0.263 0.274 (multiplicity 8)
O5 0.136 0.088 0.177 (multiplicity 8)
O6 0.143 0.162 0.505 (multiplicity 8)
O7 0.177 0.267 0.752 (multiplicity 8)
O8 0.188 0.408 0.923 (multiplicity 8)
O9 0.211 0.422 0.200 (multiplicity 8)

- Energy relative to the elements: -2366 meV/atom
- Theoretical density: 4.72 g cm⁻³

Entry 4:
First-principles (PBE+U) data for a relaxed structure of Li4Cu2Ni3Sb3O16, as listed in the Materials Project database.

Unit cell a=10.523 b=6.029 c=9.669 alpha=90.00 beta=92.46 gamma=90.00
Space group Cm (No. 8)
One atom of each set of equivalent atoms:
Li1 0.000 0.000 0.000 (multiplicity 2)
Li2 0.013 0.000 0.518 (multiplicity 2)
Li3 0.158 0.500 0.101 (multiplicity 2)
Li4 0.317 0.000 0.618 (multiplicity 2)
Cu1 0.135 0.500 0.529 (multiplicity 2)
Cu2 0.312 0.000 0.009 (multiplicity 2)
Ni1 0.068 0.256 0.791 (multiplicity 4)
Ni2 0.158 0.000 0.288 (multiplicity 2)
Sb1 0.313 0.500 0.790 (multiplicity 2)
Sb2 0.404 0.246 0.289 (multiplicity 4)
O1 0.001 0.500 0.670 (multiplicity 2)
O2 0.065 0.248 0.406 (multiplicity 4)
O3 0.150 0.000 0.896 (multiplicity 2)
O4 0.155 0.500 0.899 (multiplicity 2)
O5 0.224 0.281 0.658 (multiplicity 4)
O6 0.251 0.227 0.163 (multiplicity 4)
O7 0.327 0.000 0.404 (multiplicity 2)
O8 0.334 0.500 0.401 (multiplicity 2)
O9 0.400 0.255 0.904 (multiplicity 4)
O10 0.475 0.000 0.169 (multiplicity 2)
O11 0.481 0.500 0.698 (multiplicity 2)
O12 0.485 0.500 0.185 (multiplicity 2)

- Energy relative to the elements: -1616 meV/atom
- Theoretical density: 5.16 g cm⁻³

Entry 5:
First-principles (PBE+U) data for a relaxed structure of CaFe3O7, as listed in the Materials Project database.

Unit cell a=11.217 b=10.485 c=5.332 alpha=90.00 beta=90.00 gamma=90.00
Space group Pnma (No. 62)
One atom of each set of equivalent atoms:
Ca1 0.082 0.250 0.186 (multiplicity 4)
Fe1 0.190 0.524 0.695 (multiplicity 8)
Fe2 0.216 0.750 0.187 (multiplicity 4)
O1 0.042 0.582 0.720 (multiplicity 8)
O2 0.058 0.750 0.136 (multiplicity 4)
O3 0.218 0.119 0.453 (multiplicity 8)
O4 0.225 0.121 0.932 (multiplicity 8)

- Energy relative to the elements: -1555 meV/atom
- Theoretical density: 3.39 g cm⁻³

Entry 6:
First-principles (PBE+U) data for a relaxed structure of MgFe8O8F8, as listed in the Materials Project database.

Unit cell a=5.191 b=5.283 c=11.751 alpha=88.20 beta=86.48 gamma=87.82
Space group P1 (No. 1)
One atom of each set of equivalent atoms:
Mg1 0.000 0.000 0.000 (multiplicity 1)
Fe1 0.104 0.526 0.886 (multiplicity 1)
Fe2 0.455 0.044 0.533 (multiplicity 1)
Fe3 0.480 0.030 0.038 (multiplicity 1)
Fe4 0.556 0.886 0.779 (multiplicity 1)
Fe5 0.612 0.920 0.284 (multiplicity 1)
Fe6 0.922 0.383 0.659 (multiplicity 1)
Fe7 0.953 0.397 0.407 (multiplicity 1)
Fe8 0.971 0.417 0.157 (multiplicity 1)
O1 0.164 0.279 0.529 (multiplicity 1)
O2 0.194 0.308 0.029 (multiplicity 1)
O3 0.311 0.838 0.912 (multiplicity 1)
O4 0.669 0.128 0.657 (multiplicity 1)
O5 0.698 0.141 0.404 (multiplicity 1)
O6 0.756 0.126 0.148 (multiplicity 1)
O7 0.817 0.620 0.778 (multiplicity 1)
O8 0.841 0.625 0.282 (multiplicity 1)
F1 0.186 0.260 0.765 (multiplicity 1)
F2 0.194 0.269 0.278 (multiplicity 1)
F3 0.333 0.786 0.656 (multiplicity 1)
F4 0.354 0.807 0.177 (multiplicity 1)
F5 0.356 0.809 0.412 (multiplicity 1)
F6 0.741 0.106 0.894 (multiplicity 1)
F7 0.787 0.607 0.531 (multiplicity 1)
F8 0.835 0.678 0.037 (multiplicity 1)

- ΔE to the lowest computed polymorph: 58 meV/atom
- Energy relative to the elements: -2072 meV/atom
- Theoretical density: 3.88 g cm⁻³

Entry 7:
First-principles (PBE+U) data for a relaxed structure of Li2Fe3WO8, as listed in the Materials Project database.

Unit cell a=8.560 b=8.596 c=8.614 alpha=89.87 beta=89.72 gamma=89.67
Space group P1 (No. 1)
One atom of each set of equivalent atoms:
Li1 0.000 0.000 0.000 (multiplicity 1)
Li2 0.005 0.498 0.495 (multiplicity 1)
Li3 0.247 0.247 0.246 (multiplicity 1)
Li4 0.257 0.744 0.750 (multiplicity 1)
Li5 0.497 0.498 0.995 (multiplicity 1)
Li6 0.505 0.993 0.500 (multiplicity 1)
Li7 0.747 0.240 0.750 (multiplicity 1)
Li8 0.752 0.748 0.251 (multiplicity 1)
Fe1 0.120 0.864 0.374 (multiplicity 1)
Fe2 0.131 0.615 0.139 (multiplicity 1)
Fe3 0.137 0.370 0.879 (multiplicity 1)
Fe4 0.374 0.620 0.374 (multiplicity 1)
Fe5 0.375 0.383 0.630 (multiplicity 1)
Fe6 0.382 0.123 0.872 (multiplicity 1)
Fe7 0.615 0.630 0.623 (multiplicity 1)
Fe8 0.625 0.875 0.873 (multiplicity 1)
Fe9 0.633 0.119 0.113 (multiplicity 1)
Fe10 0.865 0.876 0.618 (multiplicity 1)
Fe11 0.877 0.117 0.369 (multiplicity 1)
Fe12 0.884 0.363 0.125 (multiplicity 1)
W1 0.132 0.117 0.624 (multiplicity 1)
W2 0.377 0.872 0.124 (multiplicity 1)
W3 0.622 0.372 0.370 (multiplicity 1)
W4 0.877 0.624 0.875 (multiplicity 1)
O1 0.103 0.613 0.876 (multiplicity 1)
O2 0.113 0.126 0.398 (multiplicity 1)
O3 0.114 0.383 0.108 (multiplicity 1)
O4 0.115 0.895 0.632 (multiplicity 1)
O5 0.127 0.135 0.852 (multiplicity 1)
O6 0.134 0.352 0.636 (multiplicity 1)
O7 0.136 0.625 0.359 (multiplicity 1)
O8 0.150 0.857 0.115 (multiplicity 1)
O9 0.354 0.130 0.615 (multiplicity 1)
O10 0.366 0.363 0.858 (multiplicity 1)
O11 0.367 0.639 0.127 (multiplicity 1)
O12 0.374 0.864 0.350 (multiplicity 1)
O13 0.381 0.096 0.126 (multiplicity 1)
O14 0.387 0.609 0.614 (multiplicity 1)
O15 0.392 0.877 0.891 (multiplicity 1)
O16 0.397 0.372 0.381 (multiplicity 1)
O17 0.606 0.864 0.105 (multiplicity 1)
O18 0.615 0.095 0.875 (multiplicity 1)
O19 0.618 0.384 0.604 (multiplicity 1)
O20 0.625 0.601 0.388 (multiplicity 1)
O21 0.637 0.860 0.643 (multiplicity 1)
O22 0.638 0.147 0.377 (multiplicity 1)
O23 0.638 0.378 0.146 (multiplicity 1)
O24 0.646 0.633 0.865 (multiplicity 1)
O25 0.856 0.365 0.365 (multiplicity 1)
O26 0.864 0.852 0.867 (multiplicity 1)
O27 0.869 0.631 0.645 (multiplicity 1)
O28 0.872 0.136 0.140 (multiplicity 1)
O29 0.880 0.395 0.883 (multiplicity 1)
O30 0.882 0.887 0.390 (multiplicity 1)
O31 0.884 0.616 0.102 (multiplicity 1)
O32 0.896 0.114 0.615 (multiplicity 1)

- ΔE to the lowest computed polymorph: 25 meV/atom
- Energy relative to the elements: -1942 meV/atom
- Theoretical density: 5.17 g cm⁻³

Entry 8:
First-principles (PBE+U) data for a relaxed structure of Na3Mg4Mo6O24, as listed in the Materials Project database.

Unit cell a=7.106 b=8.813 c=10.460 alpha=106.98 beta=105.14 gamma=103.54
Space group P-1 (No. 2)
One atom of each set of equivalent atoms:
Na1 0.000 0.000 0.000 (multiplicity 1)
Na2 0.286 0.792 0.301 (multiplicity 2)
Mg1 0.043 0.700 0.517 (multiplicity 2)
Mg2 0.376 0.456 0.103 (multiplicity 2)
Mo1 0.117 0.595 0.834 (multiplicity 2)
Mo2 0.215 0.164 0.761 (multiplicity 2)
Mo3 0.406 0.243 0.369 (multiplicity 2)
O1 0.023 0.231 0.660 (multiplicity 2)
O2 0.078 0.557 0.646 (multiplicity 2)
O3 0.121 0.506 0.148 (multiplicity 2)
O4 0.163 0.945 0.671 (multiplicity 2)
O5 0.175 0.810 0.923 (multiplicity 2)
O6 0.217 0.209 0.941 (multiplicity 2)
O7 0.246 0.312 0.466 (multiplicity 2)
O8 0.267 0.027 0.259 (multiplicity 2)
O9 0.330 0.531 0.922 (multiplicity 2)
O10 0.346 0.736 0.511 (multiplicity 2)
O11 0.434 0.353 0.252 (multiplicity 2)
O12 0.464 0.281 0.768 (multiplicity 2)

- Energy relative to the elements: -2273 meV/atom
- Theoretical density: 3.28 g cm⁻³

Entry 9:
First-principles (PBE+U) data for a relaxed structure of LiCoCuF6, as listed in the Materials Project database.

Unit cell a=4.613 b=4.613 c=9.464 alpha=90.00 beta=90.00 gamma=90.00
Space group P4_2nm (No. 102)
One atom of each set of equivalent atoms:
Li1 0.000 0.000 0.000 (multiplicity 2)
Co1 0.000 0.000 0.665 (multiplicity 2)
Cu1 0.000 0.000 0.333 (multiplicity 2)
F1 0.197 0.197 0.510 (multiplicity 4)
F2 0.205 0.205 0.825 (multiplicity 4)
F3 0.214 0.214 0.168 (multiplicity 4)

- Energy relative to the elements: -2277 meV/atom
- Theoretical density: 4.01 g cm⁻³